The following is a PBE+U calculation of an optimized crystal structure of KLiWO4, from Materials Project.

Lattice parameters (Å, degrees): 6.0568 6.0568 9.9591 90.00 90.00 120.00
With the nearest neighbours (Å) after each atom.
Sites, in units of the cell vectors:
K  0.0000  0.0000  0.0037  9 O 3.50-3.91
K  0.0000  0.0000  0.5037  9 O 3.50-3.91
Li  0.6667  0.3333  0.1880  4 O 1.90-1.94
Li  0.3333  0.6667  0.6880  4 O 1.90-1.94
W  0.6667  0.3333  0.8105  4 O 1.81-1.82
W  0.3333  0.6667  0.3105  4 O 1.81-1.82
O  0.6667  0.3333  0.9935  1 W 1.82, 1 Li 1.94
O  0.3333  0.6667  0.4935  1 W 1.82, 1 Li 1.94
O  0.5038  0.0075  0.7514  1 W 1.81, 1 Li 1.90
O  0.5038  0.4962  0.7514  1 W 1.81, 1 Li 1.90
O  0.4962  0.9925  0.2514  1 W 1.81, 1 Li 1.90
O  0.9925  0.4962  0.7514  1 W 1.81, 1 Li 1.90
O  0.4962  0.5038  0.2514  1 W 1.81, 1 Li 1.90
O  0.0075  0.5038  0.2514  1 W 1.81, 1 Li 1.90

- Total energy: -6.28 eV/atom
- Formation energy: -2.201 eV/atom
- Magnetic moment: 0.0 μB per cell

---

The following is a PBE+U calculation of an optimized crystal structure of KLiWO4, from Materials Project.

Lattice parameters (Å, degrees): 9.2303 9.6680 16.8545 89.80 90.00 90.00
With the nearest neighbours (Å) after each atom.
Sites, in units of the cell vectors:
K  0.9706  0.2600  0.5875  6 O 2.76-3.01
K  0.0294  0.7400  0.4125  6 O 2.76-3.01
K  0.4706  0.2400  0.9125  6 O 2.76-3.01
K  0.5294  0.7600  0.0875  6 O 2.76-3.01
K  0.5081  0.7531  0.7481  8 O 2.97-3.30
K  0.4919  0.2469  0.2519  8 O 2.97-3.30
K  0.0081  0.7469  0.7519  8 O 2.97-3.30
K  0.9919  0.2531  0.2481  8 O 2.97-3.30
K  0.5366  0.2344  0.5701  5 O 2.73-2.95
K  0.4634  0.7656  0.4299  5 O 2.73-2.95
K  0.0366  0.2656  0.9299  5 O 2.73-2.95
K  0.9634  0.7344  0.0701  5 O 2.73-2.95
Li  0.1696  0.9315  0.9091  4 O 1.96-1.98
Li  0.8304  0.0685  0.0909  4 O 1.96-1.98
Li  0.6696  0.5685  0.5909  4 O 1.96-1.98
Li  0.3304  0.4315  0.4091  4 O 1.96-1.98
Li  0.6702  0.5992  0.9200  4 O 1.96-1.97
Li  0.3298  0.4008  0.0800  4 O 1.96-1.97
Li  0.1702  0.9008  0.5800  4 O 1.96-1.97
Li  0.8298  0.0992  0.4200  4 O 1.96-1.97
Li  0.6680  0.0831  0.7394  4 O 1.95-1.98
Li  0.3320  0.9169  0.2606  4 O 1.95-1.98
Li  0.1680  0.4169  0.7606  4 O 1.95-1.98
Li  0.8320  0.5831  0.2394  4 O 1.95-1.98
W  0.7872  0.8941  0.5817  4 O 1.81-1.82
W  0.2128  0.1059  0.4183  4 O 1.81-1.82
W  0.2872  0.6059  0.9183  4 O 1.81-1.82
W  0.7128  0.3941  0.0817  4 O 1.81-1.82
W  0.7851  0.9336  0.9074  4 O 1.81-1.82
W  0.2149  0.0664  0.0926  4 O 1.81-1.82
W  0.2851  0.5664  0.5926  4 O 1.81-1.82
W  0.7149  0.4336  0.4074  4 O 1.81-1.82
W  0.2829  0.0768  0.7367  4 O 1.82
W  0.7171  0.9232  0.2633  4 O 1.82
W  0.7829  0.4232  0.7633  4 O 1.82
W  0.2171  0.5768  0.2367  4 O 1.82
O  0.7672  0.9276  0.6870  1 W 1.81, 1 Li 1.97
O  0.2328  0.0724  0.3130  1 W 1.81, 1 Li 1.97
O  0.2672  0.5724  0.8130  1 W 1.81, 1 Li 1.97
O  0.7328  0.4276  0.1870  1 W 1.81, 1 Li 1.97
O  0.7543  0.0531  0.5260  1 W 1.82, 1 Li 1.97
O  0.2457  0.9469  0.4740  1 W 1.82, 1 Li 1.97
O  0.2543  0.4469  0.9740  1 W 1.82, 1 Li 1.97
O  0.7457  0.5531  0.0260  1 W 1.82, 1 Li 1.97
O  0.6577  0.0430  0.8537  1 W 1.82, 1 Li 1.97
O  0.3423  0.9570  0.1463  1 W 1.82, 1 Li 1.97
O  0.1577  0.4570  0.6463  1 W 1.82, 1 Li 1.97
O  0.8423  0.5430  0.3537  1 W 1.82, 1 Li 1.97
O  0.7522  0.4373  0.5135  1 W 1.82, 1 Li 1.98
O  0.2478  0.5627  0.4865  1 W 1.82, 1 Li 1.98
O  0.2522  0.0627  0.9865  1 W 1.82, 1 Li 1.98
O  0.7478  0.9373  0.0135  1 W 1.82, 1 Li 1.98
O  0.6612  0.7604  0.5503  1 W 1.82, 1 Li 1.98
O  0.3388  0.2396  0.4497  1 W 1.82, 1 Li 1.98
O  0.1612  0.7396  0.9497  1 W 1.82, 1 Li 1.98
O  0.8388  0.2604  0.0503  1 W 1.82, 1 Li 1.98
O  0.7496  0.2628  0.7104  1 W 1.82, 1 Li 1.95
O  0.2504  0.7372  0.2896  1 W 1.82, 1 Li 1.95
O  0.2496  0.2372  0.7896  1 W 1.82, 1 Li 1.95
O  0.7504  0.7628  0.2104  1 W 1.82, 1 Li 1.95
O  0.2654  0.9320  0.8051  1 W 1.82, 1 Li 1.96
O  0.7346  0.0680  0.1949  1 W 1.82, 1 Li 1.96
O  0.7654  0.5680  0.6949  1 W 1.82, 1 Li 1.96
O  0.2346  0.4320  0.3051  1 W 1.82, 1 Li 1.96
O  0.6581  0.4420  0.8461  1 W 1.82, 1 Li 1.97
O  0.3419  0.5580  0.1539  1 W 1.82, 1 Li 1.97
O  0.1581  0.0580  0.6539  1 W 1.82, 1 Li 1.97
O  0.8419  0.9420  0.3461  1 W 1.82, 1 Li 1.97
O  0.9684  0.9936  0.8898  1 W 1.81, 1 Li 1.98
O  0.0316  0.0064  0.1102  1 W 1.81, 1 Li 1.98
O  0.4684  0.5064  0.6102  1 W 1.81, 1 Li 1.98
O  0.5316  0.4936  0.3898  1 W 1.81, 1 Li 1.98
O  0.4673  0.0757  0.6987  1 W 1.82, 1 Li 1.98
O  0.5327  0.9243  0.3013  1 W 1.82, 1 Li 1.98
O  0.9673  0.4243  0.8013  1 W 1.82, 1 Li 1.98
O  0.0327  0.5757  0.1987  1 W 1.82, 1 Li 1.98
O  0.7750  0.7556  0.8733  1 W 1.82, 1 Li 1.96
O  0.2250  0.2444  0.1267  1 W 1.82, 1 Li 1.96
O  0.2750  0.7444  0.6267  1 W 1.82, 1 Li 1.96
O  0.7250  0.2556  0.3733  1 W 1.82, 1 Li 1.96
O  0.4709  0.6644  0.9361  1 W 1.81, 1 Li 1.96
O  0.5291  0.3356  0.0639  1 W 1.81, 1 Li 1.96
O  0.9709  0.8356  0.5639  1 W 1.81, 1 Li 1.96
O  0.0291  0.1644  0.4361  1 W 1.81, 1 Li 1.96

- Total energy: -6.39 eV/atom
- Formation energy: -2.311 eV/atom
- Magnetic moment: 0.0 μB per cell

---

The following is a PBE+U calculation of an optimized crystal structure of KLiWO5, from Materials Project.

Lattice parameters (Å, degrees): 7.7330 10.9915 12.6597 90.00 90.00 90.00
With the nearest neighbours (Å) after each atom.
Sites, in units of the cell vectors:
K  0.1944  0.7957  0.8727  5 O 2.68-2.97
K  0.8056  0.2043  0.1273  5 O 2.68-2.97
K  0.3056  0.2957  0.1273  5 O 2.68-2.97
K  0.8056  0.7043  0.3727  5 O 2.68-2.97
K  0.6944  0.7043  0.8727  5 O 2.68-2.97
K  0.1944  0.2957  0.6273  5 O 2.68-2.97
K  0.6944  0.2043  0.6273  5 O 2.68-2.97
K  0.3056  0.7957  0.3727  5 O 2.68-2.97
Li  0.0089  0.5821  0.6747  4 O 1.93-2.09
Li  0.9911  0.4179  0.3253  4 O 1.93-2.09
Li  0.4911  0.0821  0.3253  4 O 1.93-2.09
Li  0.9911  0.9179  0.1747  4 O 1.93-2.09
Li  0.5089  0.9179  0.6747  4 O 1.93-2.09
Li  0.0089  0.0821  0.8253  4 O 1.93-2.09
Li  0.5089  0.4179  0.8253  4 O 1.93-2.09
Li  0.4911  0.5821  0.1747  4 O 1.93-2.09
W  0.4381  0.6219  0.6242  4 O 1.79-1.84
W  0.5619  0.3781  0.3758  4 O 1.79-1.84
W  0.0619  0.1219  0.3758  4 O 1.79-1.84
W  0.5619  0.8781  0.1242  4 O 1.79-1.84
W  0.9381  0.8781  0.6242  4 O 1.79-1.84
W  0.4381  0.1219  0.8758  4 O 1.79-1.84
W  0.9381  0.3781  0.8758  4 O 1.79-1.84
W  0.0619  0.6219  0.1242  4 O 1.79-1.84
O  0.2227  0.5619  0.5979  1 W 1.82, 1 Li 1.93
O  0.7773  0.4381  0.4021  1 W 1.82, 1 Li 1.93
O  0.2773  0.0619  0.4021  1 W 1.82, 1 Li 1.93
O  0.7773  0.9381  0.0979  1 W 1.82, 1 Li 1.93
O  0.7227  0.9381  0.5979  1 W 1.82, 1 Li 1.93
O  0.2227  0.0619  0.9021  1 W 1.82, 1 Li 1.93
O  0.7227  0.4381  0.9021  1 W 1.82, 1 Li 1.93
O  0.2773  0.5619  0.0979  1 W 1.82, 1 Li 1.93
O  0.0362  0.8343  0.5015  1 W 1.79
O  0.9638  0.1657  0.4985  1 W 1.79
O  0.4638  0.3343  0.4985  1 W 1.79
O  0.9638  0.6657  0.0015  1 W 1.79
O  0.5362  0.6657  0.5015  1 W 1.79
O  0.0362  0.3343  0.9985  1 W 1.79
O  0.5362  0.1657  0.9985  1 W 1.79
O  0.4638  0.8343  0.0015  1 W 1.79
O  0.0697  0.9890  0.6970  1 W 1.84, 1 Li 1.98
O  0.9303  0.0110  0.3030  1 W 1.84, 1 Li 1.98
O  0.4303  0.4890  0.3030  1 W 1.84, 1 Li 1.98
O  0.9303  0.5110  0.1970  1 W 1.84, 1 Li 1.98
O  0.5697  0.5110  0.6970  1 W 1.84, 1 Li 1.98
O  0.0697  0.4890  0.8030  1 W 1.84, 1 Li 1.98
O  0.5697  0.0110  0.8030  1 W 1.84, 1 Li 1.98
O  0.4303  0.9890  0.1970  1 W 1.84, 1 Li 1.98
O  0.3412  0.5469  0.8907  1 Li 2.09
O  0.6588  0.4531  0.1093  1 Li 2.09
O  0.1588  0.0469  0.1093  1 Li 2.09
O  0.6588  0.9531  0.3907  1 Li 2.09
O  0.8412  0.9531  0.8907  1 Li 2.09
O  0.3412  0.0469  0.6093  1 Li 2.09
O  0.8412  0.4531  0.6093  1 Li 2.09
O  0.1588  0.5469  0.3907  1 Li 2.09
O  0.4218  0.7567  0.7076  1 W 1.82, 1 Li 1.94
O  0.5782  0.2433  0.2924  1 W 1.82, 1 Li 1.94
O  0.0782  0.2567  0.2924  1 W 1.82, 1 Li 1.94
O  0.5782  0.7433  0.2076  1 W 1.82, 1 Li 1.94
O  0.9218  0.7433  0.7076  1 W 1.82, 1 Li 1.94
O  0.4218  0.2567  0.7924  1 W 1.82, 1 Li 1.94
O  0.9218  0.2433  0.7924  1 W 1.82, 1 Li 1.94
O  0.0782  0.7567  0.2076  1 W 1.82, 1 Li 1.94

- Total energy: -5.86 eV/atom
- Formation energy: -1.758 eV/atom
- Magnetic moment: 16.0 μB per cell

---

The following is a PBE+U calculation of an optimized crystal structure of KLuW2O8, from Materials Project.

Lattice parameters (Å, degrees): 7.6041 7.6041 7.4187 61.77 61.77 87.16
With the nearest neighbours (Å) after each atom.
Sites, in units of the cell vectors:
K  0.7902  0.2098  0.7500  10 O 2.83-3.02
K  0.2098  0.7902  0.2500  10 O 2.83-3.02
Lu  0.2232  0.7768  0.7500  6 O 2.21-2.25
Lu  0.7768  0.2232  0.2500  6 O 2.21-2.25
W  0.2989  0.3070  0.7104  5 O 1.84-2.04
W  0.6930  0.7011  0.7896  5 O 1.84-2.04
W  0.7011  0.6930  0.2896  5 O 1.84-2.04
W  0.3070  0.2989  0.2104  5 O 1.84-2.04
O  0.2395  0.0365  0.8029  1 W 1.84
O  0.9635  0.7605  0.6971  1 W 1.84
O  0.7605  0.9635  0.1971  1 W 1.84
O  0.0365  0.2395  0.3029  1 W 1.84
O  0.3774  0.2455  0.9418  2 W 1.92-2.04
O  0.7545  0.6226  0.5582  2 W 1.92-2.04
O  0.6226  0.7545  0.0582  2 W 1.92-2.04
O  0.2455  0.3774  0.4418  2 W 1.92-2.04
O  0.3742  0.5999  0.9577  2 W 2.04-2.11, 1 Lu 2.25
O  0.4001  0.6258  0.5423  2 W 2.04-2.11, 1 Lu 2.25
O  0.6258  0.4001  0.0423  2 W 2.04-2.11, 1 Lu 2.25
O  0.5999  0.3742  0.4577  2 W 2.04-2.11, 1 Lu 2.25
O  0.3487  0.0487  0.3865  1 W 1.85
O  0.9513  0.6513  0.1135  1 W 1.85
O  0.6513  0.9513  0.6135  1 W 1.85
O  0.0487  0.3487  0.8865  1 W 1.85

- Total energy: -7.42 eV/atom
- Formation energy: -2.692 eV/atom
- Magnetic moment: 0.0 μB per cell

---

The following is a PBE+U calculation of an optimized crystal structure of KMgMn2Mo2O10, from Materials Project.

Lattice parameters (Å, degrees): 6.1822 6.1426 8.5419 63.54 63.16 64.45
With the nearest neighbours (Å) after each atom.
Sites, in units of the cell vectors:
K  0.4939  0.5081  0.5280  7 O 2.69-2.99
Mg  0.4543  0.4500  0.1496  4 O 1.93-2.10
Mn  0.9936  0.4973  0.0064  4 O 1.88-2.10
Mn  0.4933  0.0101  0.9886  3 O 2.02-2.19
Mo  0.1005  0.0914  0.7157  4 O 1.78-1.84
Mo  0.9014  0.9006  0.2931  4 O 1.73-1.86
O  0.6853  0.6633  0.9561  2 Mn 1.88-2.02, 1 Mg 2.01
O  0.2883  0.3156  0.0827  2 Mn 1.91-2.04, 1 Mg 1.93
O  0.2619  0.2213  0.4778  1 Mo 1.78
O  0.7609  0.7793  0.5289  1 Mo 1.73
O  0.7842  0.2534  0.2256  1 Mo 1.86
O  0.7663  0.2060  0.7601  1 Mo 1.78
O  0.1766  0.7482  0.7853  1 Mo 1.82
O  0.2434  0.7642  0.2402  1 Mo 1.82
O  0.1834  0.1838  0.8539  1 Mo 1.84
O  0.7981  0.7927  0.1815  1 Mo 1.80

- Total energy: -6.87 eV/atom
- ΔE to the lowest computed polymorph: 10 meV per atom
- Formation energy: -2.140 eV/atom
- Magnetic moment: 9.0 μB per cell

---

The following is a PBE+U calculation of an optimized crystal structure of KMgMn2Mo2O10, from Materials Project.

Lattice parameters (Å, degrees): 6.1569 6.1680 8.6110 66.50 67.32 60.55
With the nearest neighbours (Å) after each atom.
Sites, in units of the cell vectors:
K  0.4626  0.5416  0.5036  4 O 2.92-3.22
Mg  0.4919  0.5081  0.0000  2 O 1.98
Mn  0.9875  0.5103  0.0039  2 O 1.98
Mn  0.4905  0.0110  0.9974  2 O 1.88
Mo  0.0796  0.0969  0.7455  4 O 1.74-1.85
Mo  0.9030  0.9205  0.2535  4 O 1.74-1.85
O  0.6867  0.7285  0.8995  2 Mn 1.88-1.98, 1 Mg 1.98
O  0.2957  0.2888  0.0998  2 Mn 1.88-1.98, 1 Mg 1.98
O  0.1446  0.1773  0.5190  1 Mo 1.74
O  0.8516  0.8217  0.4798  1 Mo 1.74
O  0.7573  0.2705  0.1791  1 Mo 1.82
O  0.7289  0.2206  0.8401  1 Mo 1.85
O  0.2220  0.7477  0.8262  1 Mo 1.82
O  0.2519  0.8010  0.1549  1 Mo 1.85
O  0.2210  0.2360  0.8116  1 Mo 1.82
O  0.7584  0.7861  0.1860  1 Mo 1.82

- Total energy: -6.87 eV/atom
- ΔE to the lowest computed polymorph: 0 meV per atom
- Formation energy: -2.150 eV/atom
- Magnetic moment: 9.0 μB per cell

---

The following is a PBE+U calculation of an optimized crystal structure of KMgMn16O32, from Materials Project.

Lattice parameters (Å, degrees): 5.9352 9.6472 10.2750 88.87 90.00 90.00
With the nearest neighbours (Å) after each atom.
Sites, in units of the cell vectors:
K  0.0000  0.5030  0.5250  8 O 2.76-3.08
Mg  0.5000  0.4779  0.3466  5 O 2.05-2.11
Mn  0.5000  0.1655  0.3531  6 O 1.90-1.99
Mn  0.0000  0.1746  0.3573  6 O 1.92-2.11
Mn  0.5000  0.3467  0.8338  6 O 1.92-2.01
Mn  0.0000  0.3432  0.8371  6 O 1.92-1.97
Mn  0.0000  0.6485  0.1636  6 O 1.90-2.10
Mn  0.5000  0.6647  0.1497  6 O 1.88-2.01
Mn  0.0000  0.8332  0.6471  6 O 1.92-1.96
Mn  0.5000  0.8314  0.6458  6 O 1.92-1.97
Mn  0.7491  0.6725  0.8501  6 O 1.91-1.99
Mn  0.2509  0.6725  0.8501  6 O 1.91-1.99
Mn  0.7478  0.8418  0.3388  6 O 1.92-2.03
Mn  0.2522  0.8418  0.3388  6 O 1.92-2.03
Mn  0.7497  0.1565  0.6630  6 O 1.92-1.96
Mn  0.2503  0.1565  0.6630  6 O 1.92-1.96
Mn  0.7514  0.3243  0.1422  6 O 1.91-2.07
Mn  0.2486  0.3243  0.1422  6 O 1.91-2.07
O  0.7492  0.9584  0.6465  3 Mn 1.92
O  0.2508  0.9584  0.6465  3 Mn 1.92
O  0.7468  0.6804  0.0358  3 Mn 1.88-2.01
O  0.2532  0.6804  0.0358  3 Mn 1.88-2.01
O  0.7520  0.3215  0.9561  3 Mn 1.91-1.97
O  0.2480  0.3215  0.9561  3 Mn 1.91-1.97
O  0.7469  0.0396  0.3519  3 Mn 1.90-1.99
O  0.2531  0.0396  0.3519  3 Mn 1.90-1.99
O  0.0000  0.4519  0.1504  3 Mn 1.90-1.92
O  0.5000  0.4579  0.1482  3 Mn 1.97-2.00, 1 Mg 2.05
O  0.0000  0.1855  0.5436  3 Mn 1.92-1.94
O  0.5000  0.1836  0.5425  3 Mn 1.95-1.96
O  0.5000  0.8162  0.4584  3 Mn 1.93
O  0.0000  0.8127  0.4584  3 Mn 1.95
O  0.5000  0.5454  0.8415  3 Mn 1.92
O  0.0000  0.5445  0.8424  3 Mn 1.94
O  0.5000  0.8044  0.8337  3 Mn 1.94-1.96
O  0.0000  0.8047  0.8348  3 Mn 1.94-1.96
O  0.0000  0.8403  0.2161  3 Mn 1.94-1.96
O  0.5000  0.8515  0.2115  3 Mn 1.92-1.97
O  0.0000  0.1954  0.1679  3 Mn 1.94-1.95
O  0.5000  0.1936  0.1624  3 Mn 1.96-1.97
O  0.5000  0.1520  0.7861  3 Mn 1.95
O  0.0000  0.1490  0.7873  3 Mn 1.95-1.96
O  0.7284  0.3158  0.3430  3 Mn 1.99-2.11, 1 Mg 2.07
O  0.2716  0.3158  0.3430  3 Mn 1.99-2.11, 1 Mg 2.07
O  0.7566  0.3507  0.7069  3 Mn 1.94-2.00
O  0.2433  0.3507  0.7069  3 Mn 1.94-2.01
O  0.7517  0.6994  0.6572  3 Mn 1.96-1.99
O  0.2483  0.6993  0.6572  3 Mn 1.96-1.99
O  0.7269  0.6381  0.2935  3 Mn 2.01-2.10, 1 Mg 2.11
O  0.2731  0.6381  0.2935  3 Mn 2.01-2.10, 1 Mg 2.11

- Total energy: -7.06 eV/atom
- ΔE to the lowest computed polymorph: 18 meV per atom
- Formation energy: -1.879 eV/atom
- Magnetic moment: 51.0 μB per cell

---

The following is a PBE+U calculation of an optimized crystal structure of K3MgMnO4, from Materials Project.

Lattice parameters (Å, degrees): 6.3396 6.0304 6.0756 105.19 110.77 110.49
With the nearest neighbours (Å) after each atom.
Sites, in units of the cell vectors:
K  0.4368  0.7095  0.2648  2 O 2.56-2.69
K  0.5632  0.2727  0.8280  2 O 2.56-2.69
K  0.0000  0.4802  0.5588  4 O 2.78-3.10
Mg  0.0000  0.9385  0.3044  4 O 1.89-2.05
Mn  0.0000  0.0155  0.9422  3 O 1.89-1.90
O  0.7373  0.9858  0.0334  1 Mn 1.90, 1 Mg 2.05
O  0.0000  0.9679  0.6217  1 Mg 1.89, 1 Mn 1.89
O  0.0000  0.6836  0.0256  1 Mg 1.97, 1 Mn 2.19
O  0.2627  0.2484  0.2961  1 Mn 1.90, 1 Mg 2.05

- Total energy: -5.04 eV/atom
- Formation energy: -1.765 eV/atom
- Magnetic moment: 4.0 μB per cell